Here is Na6Ta2Al2Si5SO24 after structural relaxation from the Materials Project database. Energies are from PBE.

Cell: 8.912 8.898 22.205 Å, 90.38 89.46 120.08°
Sites, in units of the cell vectors:
Na: 0.638 0.009 0.248
Na: 0.366 0.358 0.251
Na: 0.994 0.631 0.248
Na: 0.997 0.361 0.750
Na: 0.301 0.340 0.580
Na: 0.663 0.964 0.581
Na: 0.665 0.700 0.078
Na: 0.025 0.336 0.081
Na: 0.959 0.664 0.914
Na: 0.709 0.035 0.918
Na: 0.331 0.304 0.915
Na: 0.698 0.671 0.417
Na: 0.006 0.008 0.495
Na: 0.995 0.996 0.997
Na: 0.665 0.339 0.833
Na: 0.661 0.322 0.332
Na: 0.330 0.682 0.162
Na: 0.331 0.674 0.662
Ta: 0.998 0.994 0.646
Ta: 0.995 0.993 0.147
Ta: 0.665 0.334 0.688
Ta: 0.657 0.321 0.479
Ta: 0.342 0.670 0.314
Ta: 0.335 0.655 0.810
Al: 0.003 0.019 0.352
Al: 0.986 0.000 0.850
Al: 0.681 0.328 0.188
Al: 0.697 0.351 0.982
Al: 0.335 0.674 0.019
Al: 0.343 0.662 0.522
Si: 0.290 0.007 0.252
Si: 0.716 0.706 0.253
Si: 0.996 0.288 0.251
Si: 0.284 0.274 0.754
Si: 0.000 0.718 0.755
Si: 0.711 0.999 0.752
Si: 0.966 0.345 0.582
Si: 0.371 0.030 0.583
Si: 0.667 0.624 0.581
Si: 0.961 0.619 0.083
Si: 0.654 0.045 0.082
Si: 0.626 0.664 0.921
Si: 0.044 0.373 0.920
Si: 0.631 0.956 0.419
Si: 0.321 0.367 0.419
S: 0.382 0.332 0.083
S: 0.334 0.956 0.919
S: 0.048 0.670 0.418
O: 0.192 0.036 0.308
O: 0.838 0.797 0.310
O: 0.958 0.159 0.306
O: 0.194 0.164 0.813
O: 0.973 0.806 0.814
O: 0.831 0.039 0.811
O: 0.796 0.968 0.691
O: 0.166 0.201 0.692
O: 0.031 0.835 0.694
O: 0.796 0.834 0.192
O: 0.041 0.209 0.189
O: 0.162 0.966 0.192
O: 0.870 0.365 0.643
O: 0.502 0.131 0.640
O: 0.634 0.496 0.639
O: 0.868 0.501 0.143
O: 0.637 0.135 0.144
O: 0.485 0.359 0.137
O: 0.460 0.305 0.028
O: 0.834 0.543 0.024
O: 0.695 0.170 0.023
O: 0.463 0.168 0.526
O: 0.701 0.536 0.522
O: 0.828 0.300 0.526
O: 0.531 0.701 0.978
O: 0.173 0.472 0.977
O: 0.303 0.843 0.972
O: 0.531 0.831 0.476
O: 0.306 0.469 0.477
O: 0.156 0.691 0.471
O: 0.126 0.640 0.361
O: 0.504 0.868 0.358
O: 0.362 0.499 0.359
O: 0.132 0.501 0.860
O: 0.366 0.878 0.864
O: 0.497 0.634 0.862
O: 0.025 0.820 0.412
O: 0.816 0.964 0.409
O: 0.157 0.177 0.409
O: 0.027 0.181 0.912
O: 0.178 0.973 0.914
O: 0.819 0.837 0.911
O: 0.976 0.165 0.589
O: 0.189 0.031 0.589
O: 0.837 0.817 0.588
O: 0.976 0.815 0.089
O: 0.838 0.028 0.089
O: 0.201 0.176 0.087
O: 0.696 0.174 0.744
O: 0.480 0.307 0.745
O: 0.834 0.520 0.745
O: 0.684 0.512 0.240
O: 0.828 0.313 0.244
O: 0.483 0.175 0.241
O: 0.635 0.483 0.926
O: 0.850 0.354 0.923
O: 0.490 0.132 0.924
O: 0.648 0.150 0.422
O: 0.511 0.367 0.422
O: 0.871 0.510 0.421
O: 0.360 0.488 0.078
O: 0.152 0.636 0.074
O: 0.495 0.843 0.075
O: 0.361 0.847 0.573
O: 0.496 0.643 0.578
O: 0.157 0.510 0.575
O: 0.306 0.829 0.257
O: 0.522 0.692 0.256
O: 0.170 0.483 0.257
O: 0.302 0.471 0.757
O: 0.169 0.688 0.759
O: 0.517 0.830 0.759

## Properties
- energy of formation from the pure elements (eV per formula unit) = -116.30
- volume (A^3/atom) = 12.697